Here is an optimized crystal structure of K4C2O9 from the Materials Project. Energies are from GGA-PBE.

Geometry as POSCAR:
```
K4C2O9
1.0
5.987 -6.349 0.000
5.987 6.349 0.000
-3.656 0.000 6.261
K C O
8 4 18
direct
0.110 0.890 0.750
0.177 0.823 0.250
0.239 0.468 0.438
0.468 0.239 0.938
0.532 0.761 0.062
0.761 0.532 0.562
0.823 0.177 0.750
0.890 0.110 0.250
0.142 0.473 0.848
0.473 0.142 0.348
0.527 0.858 0.652
0.858 0.527 0.152
0.054 0.352 0.666
0.112 0.179 0.076
0.179 0.112 0.576
0.182 0.620 0.857
0.184 0.448 0.025
0.352 0.054 0.166
0.380 0.818 0.643
0.448 0.184 0.525
0.466 0.534 0.250
0.534 0.466 0.750
0.552 0.816 0.475
0.620 0.182 0.357
0.648 0.946 0.834
0.816 0.552 0.975
0.818 0.380 0.143
0.821 0.888 0.424
0.888 0.821 0.924
0.946 0.648 0.334
```

Computed properties:
Its symmetry is C2/c, No. 15. As for the MP2020-corrected energy: -88.10 eV per formula unit. The size of the total moment is 0.400 μB/atom. The formation energy is -1378 meV per atom.


Here is an optimized crystal structure of Na3SbP2O9 from the Materials Project. Energies are from GGA-PBE.

Geometry as POSCAR:
```
Na3SbP2O9
1.0
7.081 0.000 0.000
0.000 9.416 0.000
0.000 0.000 12.574
Na Sb P O
12 4 8 36
direct
0.124 0.106 0.159
0.175 0.257 0.760
0.245 0.586 0.516
0.255 0.414 0.016
0.325 0.743 0.260
0.376 0.894 0.659
0.624 0.394 0.841
0.675 0.243 0.240
0.745 0.914 0.484
0.755 0.086 0.984
0.825 0.757 0.740
0.876 0.606 0.341
0.021 0.747 0.005
0.479 0.253 0.505
0.521 0.753 0.995
0.979 0.247 0.495
0.229 0.375 0.299
0.238 0.970 0.422
0.262 0.030 0.922
0.271 0.625 0.799
0.729 0.125 0.701
0.738 0.530 0.578
0.762 0.470 0.078
0.771 0.875 0.201
0.048 0.290 0.344
0.050 0.042 0.470
0.088 0.695 0.854
0.092 0.954 0.986
0.211 0.531 0.331
0.225 0.305 0.557
0.241 0.817 0.460
0.245 0.010 0.803
0.245 0.337 0.183
0.255 0.663 0.683
0.255 0.990 0.303
0.259 0.183 0.960
0.275 0.695 0.057
0.289 0.469 0.831
0.408 0.046 0.486
0.412 0.305 0.354
0.450 0.958 0.970
0.452 0.710 0.844
0.548 0.210 0.656
0.550 0.458 0.530
0.588 0.805 0.146
0.592 0.546 0.014
0.711 0.969 0.669
0.725 0.195 0.443
0.741 0.683 0.540
0.745 0.163 0.817
0.745 0.490 0.197
0.755 0.510 0.697
0.755 0.837 0.317
0.759 0.317 0.040
0.775 0.805 0.943
0.789 0.031 0.169
0.908 0.454 0.514
0.912 0.195 0.646
0.950 0.542 0.030
0.952 0.790 0.156
```

Computed properties:
Its symmetry is P2_12_12_1, No. 19. As for the MP2020-corrected energy: -100.53 eV per formula unit. The formation energy is -2471 meV per atom.


Here is an optimized crystal structure of Na7MgGa3Si3S3O24 from the Materials Project. Energies are from GGA-PBE.

Geometry as POSCAR:
```
Na7MgGa3Si3S3O24
1.0
8.936 0.000 0.000
4.463 7.765 0.000
0.272 0.210 21.989
Na Mg Ga Si S O
21 3 9 9 9 72
direct
0.000 0.000 0.000
0.000 0.347 0.249
0.004 0.363 0.749
0.010 0.710 0.503
0.025 0.022 0.665
0.292 0.021 0.164
0.297 0.409 0.666
0.330 0.069 0.840
0.332 0.680 0.583
0.334 0.695 0.079
0.336 0.312 0.340
0.371 0.346 0.993
0.626 0.354 0.498
0.639 0.036 0.415
0.653 0.029 0.920
0.671 0.649 0.668
0.674 0.383 0.165
0.692 0.685 0.331
0.693 0.323 0.838
0.966 0.070 0.327
0.982 0.675 0.828
0.015 0.340 0.395
0.016 0.345 0.904
0.329 0.677 0.727
0.326 0.705 0.234
0.349 0.672 0.428
0.364 0.668 0.938
0.657 0.042 0.568
0.659 0.040 0.267
0.670 0.039 0.761
0.676 0.021 0.061
0.995 0.318 0.092
0.997 0.379 0.601
0.298 0.351 0.498
0.310 0.046 0.998
0.333 0.392 0.831
0.338 0.977 0.331
0.624 0.398 0.329
0.675 0.320 0.662
0.706 0.356 0.998
0.947 0.741 0.664
0.961 0.009 0.165
0.004 0.060 0.499
0.041 0.690 0.332
0.044 0.977 0.831
0.369 0.320 0.165
0.376 0.021 0.666
0.625 0.692 0.830
0.674 0.730 0.166
0.706 0.651 0.498
0.997 0.644 0.999
0.017 0.155 0.835
0.019 0.537 0.338
0.025 0.140 0.554
0.027 0.530 0.053
0.116 0.723 0.388
0.125 0.871 0.886
0.136 0.728 0.666
0.151 0.900 0.776
0.153 0.667 0.995
0.155 0.655 0.279
0.158 0.884 0.493
0.160 0.842 0.171
0.161 0.371 0.837
0.172 0.169 0.334
0.174 0.390 0.560
0.185 0.130 0.060
0.196 0.337 0.159
0.202 0.176 0.659
0.213 0.331 0.438
0.235 0.171 0.939
0.295 0.901 0.270
0.300 0.507 0.771
0.303 0.866 0.989
0.314 0.533 0.494
0.357 0.868 0.673
0.361 0.487 0.171
0.373 0.480 0.891
0.376 0.845 0.389
0.444 0.207 0.221
0.451 0.055 0.721
0.481 0.237 0.111
0.488 0.987 0.612
0.495 0.180 0.506
0.497 0.033 0.011
0.505 0.469 0.391
0.507 0.519 0.998
0.511 0.513 0.668
0.512 0.724 0.885
0.513 0.193 0.825
0.516 0.709 0.168
0.520 0.987 0.323
0.528 0.520 0.269
0.532 0.665 0.495
0.545 0.670 0.775
0.627 0.238 0.605
0.642 0.845 0.112
0.644 0.203 0.326
0.645 0.848 0.827
0.691 0.178 0.004
0.691 0.809 0.222
0.694 0.821 0.504
0.720 0.196 0.724
0.782 0.394 0.060
0.783 0.540 0.554
0.797 0.535 0.837
0.811 0.385 0.335
0.813 0.568 0.444
0.822 0.824 0.725
0.823 0.321 0.938
0.829 0.556 0.161
0.836 0.052 0.226
0.843 0.820 0.004
0.846 0.039 0.502
0.853 0.856 0.603
0.859 0.324 0.654
0.869 0.846 0.326
0.870 0.989 0.827
0.871 0.989 0.105
0.972 0.545 0.662
0.973 0.169 0.445
0.973 0.571 0.943
0.979 0.190 0.161
```

Computed properties:
Its symmetry is P1, No. 1. As for the MP2020-corrected energy: -264.88 eV per formula unit. The size of the total moment is 0.000 μB/atom. The formation energy is -2378 meV per atom.